Entry 1:
This record from Materials Project describes a relaxed structure of Ba11B26P2H6O58. The functional is PBE.

Results
- MP2020-corrected energy (eV per cell) = -1628.58
- ΔE_f (kJ/mol of atoms) = -282.3
- VASP energy (eV per formula unit) = -774.4

Cell: 6.992 13.818 25.994 Å, 90.00 90.05 90.00°
Space group P2_1/c (No. 14)
Asymmetric unit:
Ba: 0.000 0.000 0.000 (multiplicity 2)
Ba: 0.136 0.173 0.153 (multiplicity 4)
Ba: 0.157 0.676 0.196 (multiplicity 4)
Ba: 0.190 0.522 0.916 (multiplicity 4)
Ba: 0.326 0.215 0.909 (multiplicity 4)
Ba: 0.480 0.062 0.774 (multiplicity 4)
B: 0.003 0.203 0.496 (multiplicity 4)
B: 0.013 0.076 0.760 (multiplicity 4)
B: 0.015 0.573 0.641 (multiplicity 4)
B: 0.145 0.087 0.672 (multiplicity 4)
B: 0.154 0.694 0.579 (multiplicity 4)
B: 0.190 0.659 0.806 (multiplicity 4)
B: 0.265 0.633 0.057 (multiplicity 4)
B: 0.302 0.523 0.392 (multiplicity 4)
B: 0.330 0.688 0.340 (multiplicity 4)
B: 0.334 0.533 0.599 (multiplicity 4)
B: 0.341 0.022 0.599 (multiplicity 4)
B: 0.481 0.105 0.047 (multiplicity 4)
B: 0.481 0.158 0.649 (multiplicity 4)
P: 0.338 0.157 0.298 (multiplicity 4)
H: 0.116 0.723 0.446 (multiplicity 4)
H: 0.279 0.166 0.515 (multiplicity 4)
H: 0.419 0.706 0.496 (multiplicity 4)
O: 0.013 0.730 0.948 (multiplicity 4)
O: 0.019 0.712 0.536 (multiplicity 4)
O: 0.032 0.637 0.841 (multiplicity 4)
O: 0.049 0.677 0.627 (multiplicity 4)
O: 0.079 0.064 0.809 (multiplicity 4)
O: 0.123 0.032 0.899 (multiplicity 4)
O: 0.124 0.034 0.722 (multiplicity 4)
O: 0.146 0.630 0.751 (multiplicity 4)
O: 0.147 0.626 0.015 (multiplicity 4)
O: 0.184 0.012 0.631 (multiplicity 4)
O: 0.188 0.151 0.488 (multiplicity 4)
O: 0.190 0.158 0.254 (multiplicity 4)
O: 0.200 0.521 0.642 (multiplicity 4)
O: 0.214 0.733 0.304 (multiplicity 4)
O: 0.227 0.127 0.349 (multiplicity 4)
O: 0.275 0.712 0.088 (multiplicity 4)
O: 0.278 0.595 0.350 (multiplicity 4)
O: 0.282 0.615 0.566 (multiplicity 4)
O: 0.302 0.156 0.677 (multiplicity 4)
O: 0.320 0.060 0.065 (multiplicity 4)
O: 0.335 0.577 0.442 (multiplicity 4)
O: 0.363 0.613 0.823 (multiplicity 4)
O: 0.387 0.553 0.066 (multiplicity 4)
O: 0.428 0.241 0.809 (multiplicity 4)
O: 0.454 0.184 0.014 (multiplicity 4)
O: 0.458 0.102 0.599 (multiplicity 4)
O: 0.467 0.041 0.881 (multiplicity 4)
O: 0.477 0.737 0.364 (multiplicity 4)
O: 0.494 0.588 0.214 (multiplicity 4)

Entry 2:
This record from Materials Project describes a relaxed structure of Ba2CuS2Br2. The functional is PBE.

Results
- MP2020-corrected energy (eV per cell) = -65.38
- polymorph energy (0 for the lowest one) (meV/atom) = 0
- ΔE_f (kJ/mol of atoms) = -182.0
- VASP energy (eV per formula unit) = -30.6

Cell: 4.694 4.694 17.964 Å, 90.00 90.00 90.00°
Space group I4/mmm (No. 139)
Asymmetric unit:
Ba: 0.000 0.000 0.120 (multiplicity 4)
Cu: 0.000 0.000 0.500 (multiplicity 2)
S: 0.000 0.500 0.000 (multiplicity 4)
Br: 0.000 0.000 0.317 (multiplicity 4)

Entry 3:
This record from Materials Project describes a relaxed structure of ThAl. The functional is PBE.

Results
- ΔE_f (kJ/mol of atoms) = -30.9
- VASP energy (eV per formula unit) = -11.8

Cell: 4.463 11.453 4.184 Å, 90.00 90.00 90.00°
Space group Cmcm (No. 63)
Asymmetric unit:
Th: 0.000 0.144 0.250 (multiplicity 4)
Al: 0.000 0.429 0.250 (multiplicity 4)

Entry 4:
This record from Materials Project describes a relaxed structure of GdSi2Ni. The functional is PBE.

Results
- ΔE_f (kJ/mol of atoms) = -79.3
- VASP energy (eV per formula unit) = -34.0

Cell: 3.985 16.008 3.961 Å, 90.00 90.00 90.00°
Space group Cmcm (No. 63)
Asymmetric unit:
Gd: 0.000 0.106 0.250 (multiplicity 4)
Si: 0.000 0.250 0.750 (multiplicity 4)
Si: 0.000 0.460 0.250 (multiplicity 4)
Ni: 0.000 0.321 0.250 (multiplicity 4)

Entry 5:
This record from Materials Project describes a relaxed structure of Ba2EuTaO6. The functional is PBE.

Results
- MP2020-corrected energy (eV per cell) = -178.02
- ΔE_f (kJ/mol of atoms) = -321.9
- VASP energy (eV per formula unit) = -84.9

Cell: 6.088 6.088 8.652 Å, 90.00 90.00 90.00°
Space group I4/m (No. 87)
Asymmetric unit:
Ba: 0.000 0.500 0.250 (multiplicity 4)
Eu: 0.000 0.000 0.000 (multiplicity 2)
Ta: 0.000 0.000 0.500 (multiplicity 2)
O: 0.000 0.000 0.268 (multiplicity 4)
O: 0.216 0.251 0.500 (multiplicity 8)

Entry 6:
This record from Materials Project describes a relaxed structure of NaSr4B3O9. The functional is PBE.

Results
- MP2020-corrected energy (eV per cell) = -2006.65
- ΔE_f (kJ/mol of atoms) = -299.5
- VASP energy (eV per formula unit) = -119.2

Cell: 15.313 15.313 15.313 Å, 90.00 90.00 90.00°
Space group Ia-3d (No. 230)
Asymmetric unit:
Na: 0.125 0.125 0.125 (multiplicity 16)
Sr: 0.000 0.000 0.000 (multiplicity 16)
Sr: 0.000 0.250 0.003 (multiplicity 48)
B: 0.113 0.137 0.625 (multiplicity 48)
O: 0.024 0.116 0.621 (multiplicity 96)
O: 0.073 0.125 0.823 (multiplicity 48)

Look up the VASP energy of the third one.
-11.8 eV per formula unit